Cs2CeO3: relaxed, PBE.

Values from the calculation:
The calculation puts the corrected total energy (MP2020 scheme) at -6.37 eV per atom. Its density is 4.50 g cm⁻³. The energy comes out at -6.03 eV per atom.

Cell lengths 6.896, 14.618, 7.483 Å; angles 90.00, 117.35, 90.00 degrees
Space group P2_1 (No. 4)
Symmetry-distinct sites (fractional):
Cs 0.124 0.000 0.244
Cs 0.195 0.550 0.390
Cs 0.307 0.281 0.605
Cs 0.370 0.834 0.751
Ce 0.010 0.758 0.022
Ce 0.490 0.077 0.977
O 0.092 0.363 0.184
O 0.166 0.786 0.322
O 0.225 0.668 0.953
O 0.269 0.168 0.038
O 0.347 0.048 0.680
O 0.410 0.473 0.818


Cs2CeO3: relaxed, PBE.

Values from the calculation:
The calculation puts the corrected total energy (MP2020 scheme) at -6.37 eV per atom. Its density is 4.50 g cm⁻³. The energy comes out at -6.03 eV per atom.

Cell lengths 6.896, 7.483, 14.618 Å; angles 90.04, 90.03, 117.35 degrees
Space group P1 (No. 1)
Symmetry-distinct sites (fractional):
Cs 0.000 0.000 0.000
Cs 0.064 0.142 0.449
Cs 0.176 0.361 0.715
Cs 0.248 0.504 0.167
Cs 0.494 0.995 0.666
Cs 0.567 0.143 0.215
Cs 0.677 0.356 0.947
Cs 0.744 0.501 0.501
Ce 0.360 0.729 0.924
Ce 0.381 0.772 0.423
Ce 0.862 0.730 0.744
Ce 0.880 0.774 0.243
O 0.027 0.075 0.216
O 0.103 0.711 0.331
O 0.145 0.798 0.834
O 0.204 0.429 0.951
O 0.282 0.574 0.530
O 0.462 0.935 0.028
O 0.530 0.073 0.451
O 0.598 0.706 0.334
O 0.639 0.788 0.833
O 0.717 0.430 0.714
O 0.784 0.576 0.136
O 0.960 0.933 0.638


Cs2CeO3: relaxed, PBE.

Values from the calculation:
The calculation puts the largest piezoelectric modulus at 1.07 C/m². The calculation puts the corrected total energy (MP2020 scheme) at -6.44 eV per atom. Its density is 5.05 g cm⁻³. The energy comes out at -6.09 eV per atom.

Cell lengths 11.662, 7.827, 6.546 Å; angles 90.00, 90.00, 90.00 degrees
Space group Cmc2_1 (No. 36)
Symmetry-distinct sites (fractional):
Cs 0.165 0.142 0.000
Ce 0.000 0.408 0.482
O 0.000 0.149 0.438
O 0.120 0.490 0.740


Cs2CeO3: relaxed, PBE.

Values from the calculation:
The calculation puts the corrected total energy (MP2020 scheme) at -6.37 eV per atom. Its density is 4.48 g cm⁻³. The energy comes out at -6.03 eV per atom.

Cell lengths 6.908, 13.299, 14.661 Å; angles 90.00, 90.00, 90.00 degrees
Space group Cmc2_1 (No. 36)
Symmetry-distinct sites (fractional):
Cs 0.000 0.120 0.000
Cs 0.000 0.194 0.552
Cs 0.000 0.302 0.282
Cs 0.000 0.376 0.838
Ce 0.000 0.010 0.760
Ce 0.000 0.488 0.080
O 0.000 0.093 0.364
O 0.000 0.161 0.787
O 0.000 0.340 0.051
O 0.000 0.409 0.476
O 0.249 0.024 0.171


CsCeP4O12: relaxed, PBE.

Values from the calculation:
The calculation puts the corrected total energy (MP2020 scheme) at -7.79 eV per atom. Its density is 3.24 g cm⁻³. The energy comes out at -7.33 eV per atom.

Cell lengths 7.297, 9.360, 8.955 Å; angles 90.00, 99.59, 90.00 degrees
Space group P2_1 (No. 4)
Symmetry-distinct sites (fractional):
Cs 0.173 0.000 0.175
Ce 0.297 0.166 0.697
P 0.145 0.540 0.542
P 0.194 0.590 0.227
P 0.418 0.389 0.073
P 0.440 0.774 0.624
O 0.007 0.133 0.818
O 0.041 0.111 0.492
O 0.163 0.405 0.634
O 0.222 0.506 0.388
O 0.228 0.461 0.115
O 0.288 0.652 0.634
O 0.344 0.700 0.233
O 0.351 0.918 0.593
O 0.359 0.316 0.925
O 0.423 0.220 0.470
O 0.426 0.996 0.908
O 0.458 0.265 0.200


CsCeS2: relaxed, PBE.

Values from the calculation:
The calculation puts the corrected total energy (MP2020 scheme) at -5.78 eV per atom. Its density is 4.38 g cm⁻³. The energy comes out at -5.53 eV per atom.

Cell lengths 4.2791, 4.2791, 24.1996 Å; angles 90.00, 90.00, 120.00 degrees
Space group R-3m (No. 166, hexagonal axes)
Symmetry-distinct sites (fractional):
Cs 0.0000 0.0000 0.0000
Ce 0.0000 0.0000 0.5000
S 0.0000 0.0000 0.2283


CeCu2: relaxed, PBE.

Values from the calculation:
Its density is 8.07 g cm⁻³. The energy comes out at -4.89 eV per atom.

Cell lengths 4.396, 6.643, 7.536 Å; angles 90.00, 90.00, 90.00 degrees
Space group Imma (No. 74)
Symmetry-distinct sites (fractional):
Ce 0.000 0.250 0.024
Cu 0.000 0.035 0.666


CeCu5: relaxed, PBE.

Values from the calculation:
Its density is 8.29 g cm⁻³. The energy comes out at -4.51 eV per atom.

Cell lengths 5.0724, 5.0724, 4.1135 Å; angles 90.00, 90.00, 120.00 degrees
Space group P6/mmm (No. 191)
Symmetry-distinct sites (fractional):
Ce 0.0000 0.0000 0.0000
Cu 0.0000 0.5000 0.5000
Cu 0.3333 0.6667 0.0000


Rb2CeCuF6: relaxed, PBE.

Values from the calculation:
The calculation puts the corrected total energy (MP2020 scheme) at -5.43 eV per atom. Its density is 4.26 g cm⁻³. The energy comes out at -5.16 eV per atom.

Cell lengths 9.131, 9.131, 9.131 Å; angles 90.00, 90.00, 90.00 degrees
Space group Fm-3m (No. 225)
Symmetry-distinct sites (fractional):
Rb 0.250 0.250 0.250
Ce 0.000 0.000 0.000
Cu 0.000 0.000 0.500
F 0.000 0.000 0.251


CeGa2Cu3: relaxed, PBE.

Values from the calculation:
Its density is 7.92 g cm⁻³. The energy comes out at -4.39 eV per atom.

Cell lengths 5.292, 8.884, 4.194 Å; angles 90.00, 90.00, 90.00 degrees
Space group Cmmm (No. 65)
Symmetry-distinct sites (fractional):
Ce 0.000 0.000 0.000
Ga 0.250 0.250 0.500
Cu 0.000 0.336 0.000
Cu 0.000 0.500 0.500


CeGa3Cu: relaxed, PBE.

Values from the calculation:
Its energy above the most stable polymorph in this dataset is 212 kJ/mol of formula units. Its density is 6.73 g cm⁻³. The energy comes out at -3.83 eV per atom.

Cell lengths 3.643, 3.643, 15.356 Å; angles 90.00, 90.00, 90.00 degrees
Space group I4mm (No. 107)
Symmetry-distinct sites (fractional):
Ce 0.000 0.000 0.000
Ga 0.000 0.000 0.810
Ga 0.000 0.500 0.168
Cu 0.000 0.000 0.385


CeGa3Cu: relaxed, PBE.

Values from the calculation:
Its energy above the most stable polymorph in this dataset is 0 kJ/mol of formula units. Its density is 7.38 g cm⁻³. The energy comes out at -4.27 eV per atom.

Cell lengths 4.248, 4.248, 10.293 Å; angles 90.00, 90.00, 90.00 degrees
Space group I-4m2 (No. 119)
Symmetry-distinct sites (fractional):
Ce 0.000 0.000 0.000
Ga 0.000 0.000 0.381
Ga 0.000 0.500 0.250
Cu 0.000 0.500 0.750


Calculated formation energy for every record listed, in sequence, given in meV per atom: -2611.9 -2612.4 -2674.5 -2609.5 -2905.5 -2009.4 -174.9 -102.9 -3086.5 -341.6 -10.8 -449.5.